(1)
VASP calculation (PBE) on an optimized crystal structure of LiTiO2.

a = 4.0895 Å, b = 4.0895 Å, c = 8.4777 Å
α = 90.00°, β = 90.00°, γ = 90.00°
With the nearest neighbours (Å) after each atom.
Space group I4_1/amd (No. 141, origin choice 2)
Symmetry-distinct sites (fractional):
Li: 0.0000 0.2500 0.3750 x4  6 O 2.04-2.12
Ti: 0.0000 0.2500 0.8750 x4  6 O 2.04-2.12
O: 0.0000 0.2500 0.1252 x8  3 Li 2.04-2.12, 3 Ti 2.04-2.12

## Properties
V	8.9	Å³ per atom
uncorrected energy	-7.56	eV per atom
calculated formation energy	-2.979	eV per atom


(2)
VASP calculation (PBE) on an optimized crystal structure of NaCdH3C3O6.

a = 6.5403 Å, b = 7.3763 Å, c = 14.3706 Å
α = 90.00°, β = 90.00°, γ = 90.00°
With the nearest neighbours (Å) after each atom.
Space group Pcca (No. 54)
Symmetry-distinct sites (fractional):
Na: 0.2500 0.0000 0.2210 x4  6 O 2.33-2.57
Cd: 0.2500 0.5000 0.0716 x4  6 O 2.35-2.37
H: 0.0000 0.4508 0.2500 x4  1 C 1.11
H: 0.2080 0.1681 0.9302 x8  1 C 1.11
C: 0.0000 0.3987 0.7500 x4  1 H 1.11
C: 0.1319 0.2046 0.4130 x8  1 H 1.11
O: 0.0385 0.1143 0.3532 x8  1 C 1.25
O: 0.0592 0.3421 0.4578 x8  1 C 1.29
O: 0.1062 0.3178 0.6885 x8  1 C 1.27

## Properties
V	12.4	Å³ per atom
uncorrected energy	-6.07	eV per atom
calculated formation energy	-1.383	eV per atom


(3)
VASP calculation (PBE) on an optimized crystal structure of Eu2TaAlO6.

a = 7.8433 Å, b = 7.8433 Å, c = 7.8433 Å
α = 90.00°, β = 90.00°, γ = 90.00°
With the nearest neighbours (Å) after each atom.
Space group Fm-3m (No. 225)
Symmetry-distinct sites (fractional):
Eu: 0.2500 0.2500 0.2500 x8  12 O 2.77
Ta: 0.0000 0.0000 0.0000 x4  6 O 2.00
Al: 0.0000 0.0000 0.5000 x4  6 O 1.92
O: 0.0000 0.0000 0.2554 x24  1 Al 1.92, 1 Ta 2.00

## Properties
V	12.1	Å³ per atom
uncorrected energy	-9.62	eV per atom
calculated formation energy	-3.450	eV per atom


(4)
VASP calculation (PBE) on an optimized crystal structure of Bi2O5.

a = 4.1688 Å, b = 4.2525 Å, c = 13.9400 Å
α = 89.87°, β = 89.98°, γ = 89.98°
With the nearest neighbours (Å) after each atom.
Space group P1 (No. 1)
Symmetry-distinct sites (fractional):
Bi: 0.0000 0.0000 0.0000 x1  6 O 2.06-2.24
Bi: 0.0002 0.0035 0.2978 x1  6 O 2.06-2.24
Bi: 0.0782 0.4994 0.5001 x1  6 O 2.06-2.24
Bi: 0.0783 0.5030 0.7977 x1  6 O 2.06-2.24
O: 0.0303 0.5010 0.9579 x1  3 Bi 2.21-2.24
O: 0.0305 0.5024 0.3400 x1  3 Bi 2.21-2.24
O: 0.0483 0.0008 0.4580 x1  3 Bi 2.21-2.24
O: 0.0483 0.0022 0.8398 x1  3 Bi 2.21-2.24
O: 0.0939 0.0023 0.1489 x1  2 Bi 2.11
O: 0.5069 0.0090 0.0035 x1  2 Bi 2.06-2.11
O: 0.5071 0.9923 0.2940 x1  2 Bi 2.06-2.11
O: 0.5714 0.4957 0.7952 x1  2 Bi 2.06-2.11
O: 0.5715 0.5126 0.5030 x1  2 Bi 2.06-2.11
O: 0.9851 0.5015 0.6489 x1  2 Bi 2.11

## Properties
V	17.7	Å³ per atom
polymorph energy (0 for the lowest one)	0.080	eV per atom
uncorrected energy	-5.18	eV per atom
calculated formation energy	-1.025	eV per atom


(5)
VASP calculation (PBE) on an optimized crystal structure of Ca2MgC3O9.

a = 4.9106 Å, b = 4.9106 Å, c = 16.7463 Å
α = 90.00°, β = 90.00°, γ = 120.00°
With the nearest neighbours (Å) after each atom.
Space group P31c (No. 159)
Symmetry-distinct sites (fractional):
Ca: 0.0000 0.0000 0.0000 x2  6 O 2.38-2.44
Ca: 0.3333 0.6667 0.3189 x2  6 O 2.37-2.42
Mg: 0.3333 0.6667 0.6603 x2  6 O 2.11-2.12
C: 0.0000 0.0000 0.2338 x2  3 O 1.30
C: 0.3333 0.6667 0.0877 x2  3 O 1.30
C: 0.3333 0.6667 0.9078 x2  3 O 1.30
O: 0.0396 0.2822 0.7348 x6  1 C 1.30
O: 0.0513 0.6274 0.0863 x6  1 C 1.30
O: 0.0701 0.6689 0.9081 x6  1 C 1.30

## Properties
V	11.7	Å³ per atom
uncorrected energy	-7.38	eV per atom
calculated formation energy	-2.599	eV per atom


(6)
VASP calculation (PBE) on an optimized crystal structure of RbMg14W.

a = 6.4518 Å, b = 6.4518 Å, c = 10.4767 Å
α = 90.00°, β = 90.00°, γ = 120.00°
With the nearest neighbours (Å) after each atom.
Space group P-6m2 (No. 187)
Symmetry-distinct sites (fractional):
Rb: 0.0000 0.0000 0.0000 x1  12 Mg 3.23-3.45
Mg: 0.0105 0.5053 0.0000 x3  10 Mg 3.12-3.45, 2 Rb 3.23
Mg: 0.1655 0.3310 0.2784 x6  1 W 2.97, 8 Mg 2.99-3.25
Mg: 0.5039 0.0078 0.5000 x3  10 Mg 2.99-3.30, 2 W 3.23
Mg: 0.6667 0.3333 0.2434 x2  12 Mg 3.19-3.25
W: 0.0000 0.0000 0.5000 x1  12 Mg 2.97-3.23

## Properties
V	23.6	Å³ per atom
polymorph energy (0 for the lowest one)	0.000	eV per atom
uncorrected energy	-1.97	eV per atom
calculated formation energy	0.300	eV per atom


(7)
VASP calculation (PBE) on an optimized crystal structure of ScRh.

a = 3.2361 Å, b = 3.2361 Å, c = 3.2361 Å
α = 90.00°, β = 90.00°, γ = 90.00°
With the nearest neighbours (Å) after each atom.
Space group Pm-3m (No. 221)
Symmetry-distinct sites (fractional):
Sc: 0.0000 0.0000 0.0000 x1  8 Rh 2.80
Rh: 0.5000 0.5000 0.5000 x1  8 Sc 2.80

## Properties
V	16.9	Å³ per atom
uncorrected energy	-7.88	eV per atom
calculated formation energy	-1.031	eV per atom


(8)
VASP calculation (PBE) on an optimized crystal structure of KAgSnSe3.

a = 8.4429 Å, b = 8.4429 Å, c = 20.4911 Å
α = 90.00°, β = 90.00°, γ = 90.00°
With the nearest neighbours (Å) after each atom.
Space group P4cc (No. 103)
Symmetry-distinct sites (fractional):
K: 0.0000 0.0000 0.0000 x2  8 Se 3.40-3.65
K: 0.0000 0.0000 0.1905 x2  8 Se 3.39-3.65
K: 0.5000 0.5000 0.0431 x2  8 Se 3.42-3.68
K: 0.5000 0.5000 0.3414 x2  8 Se 3.57-3.64
Ag: 0.0012 0.3151 0.3445 x8  2 Se 2.51-2.52
Sn: 0.0000 0.5000 0.0078 x4  4 Se 2.57-2.63
Sn: 0.0000 0.5000 0.1834 x4  4 Se 2.56-2.65
Se: 0.1543 0.3313 0.0949 x8  2 Sn 2.63-2.65
Se: 0.1868 0.3244 0.7498 x8  1 Ag 2.51, 1 Sn 2.56
Se: 0.1880 0.3259 0.4404 x8  1 Ag 2.52, 1 Sn 2.57

## Properties
V	30.4	Å³ per atom
uncorrected energy	-3.66	eV per atom
calculated formation energy	-0.823	eV per atom